1.
VASP calculation (PBE+U) on a relaxed structure of Li3FeP2O8.

Cell lengths 8.2426, 10.4001, 8.3304 Å; angles 90.00, 105.26, 90.00 degrees
Space group P2_1 (No. 4)
Inequivalent atoms, fractional coordinates:
Li: 0.0462 0.0000 0.0336 [2 per cell]
Li: 0.1004 0.7443 0.8381 [2 per cell]
Li: 0.1072 0.9143 0.3484 [2 per cell]
Li: 0.1424 0.4252 0.4147 [2 per cell]
Li: 0.1457 0.2350 0.9043 [2 per cell]
Li: 0.3288 0.7240 0.5913 [2 per cell]
Fe: 0.4036 0.2380 0.6599 [2 per cell]
Fe: 0.4092 0.4162 0.1605 [2 per cell]
P: 0.2057 0.9862 0.7178 [2 per cell]
P: 0.2202 0.6649 0.2168 [2 per cell]
P: 0.2635 0.4849 0.7944 [2 per cell]
P: 0.2656 0.1761 0.2893 [2 per cell]
O: 0.0729 0.6737 0.0578 [2 per cell]
O: 0.0730 0.9729 0.5531 [2 per cell]
O: 0.1107 0.4200 0.8366 [2 per cell]
O: 0.1233 0.2518 0.3299 [2 per cell]
O: 0.1482 0.9340 0.8646 [2 per cell]
O: 0.1819 0.7314 0.3655 [2 per cell]
O: 0.2254 0.0373 0.2403 [2 per cell]
O: 0.2394 0.6251 0.7448 [2 per cell]
O: 0.2601 0.1324 0.7529 [2 per cell]
O: 0.2605 0.5168 0.2573 [2 per cell]
O: 0.3068 0.4058 0.6477 [2 per cell]
O: 0.3174 0.2469 0.1395 [2 per cell]
O: 0.3683 0.9106 0.6986 [2 per cell]
O: 0.3856 0.7218 0.1841 [2 per cell]
O: 0.4188 0.4673 0.9499 [2 per cell]
O: 0.4283 0.1896 0.4447 [2 per cell]

Output
The calculation puts the formation energy at -2.549 eV/atom. The distance to the lowest polymorph of the same formula is 13 meV per atom.

=====

2.
VASP calculation (PBE+U) on a relaxed structure of MgTiP3WO12.

Cell lengths 8.7678, 8.7678, 21.1487 Å; angles 90.00, 90.00, 120.00 degrees
Space group R3c (No. 161, hexagonal axes)
Inequivalent atoms, fractional coordinates:
Mg: 0.0000 0.0000 0.0000 [6 per cell]
Ti: 0.0000 0.0000 0.3552 [6 per cell]
P: 0.0407 0.3642 0.4186 [18 per cell]
W: 0.0000 0.0000 0.1437 [6 per cell]
O: 0.0217 0.1791 0.4283 [18 per cell]
O: 0.1406 0.4505 0.3591 [18 per cell]
O: 0.1465 0.4782 0.4776 [18 per cell]
O: 0.1542 0.4784 0.7438 [18 per cell]

Output
The calculation puts the formation energy at -2.775 eV/atom.